1.
VASP calculation (PBE) on a relaxed MgSiO3 crystal.

DFT formation energy: -16.1 eV per formula unit
SG: C2/c, No. 15

Lattice parameters (Å, degrees): 6.7597 6.7597 5.3669 72.93 72.93 81.85
With the nearest neighbours (Å) after each atom.
Element x y z (fractional)
Si 0.6191 0.7974 0.8014  4 O 1.61-1.68
Si 0.3809 0.2026 0.1986  4 O 1.61-1.68
Si 0.2026 0.3809 0.6986  4 O 1.61-1.68
Si 0.7974 0.6191 0.3014  4 O 1.61-1.68
O 0.9743 0.7888 0.1658  1 Si 1.63
O 0.7888 0.9743 0.6658  1 Si 1.63
O 0.8644 0.3763 0.3438  1 Si 1.61
O 0.6237 0.1356 0.1562  1 Si 1.61
O 0.6202 0.6855 0.1257  2 Si 1.67-1.68
O 0.1356 0.6237 0.6562  1 Si 1.61
O 0.0257 0.2112 0.8342  1 Si 1.63
O 0.6855 0.6202 0.6257  2 Si 1.67-1.68
O 0.3145 0.3798 0.3743  2 Si 1.67-1.68
O 0.2112 0.0257 0.3342  1 Si 1.63
O 0.3798 0.3145 0.8743  2 Si 1.67-1.68
O 0.3763 0.8644 0.8438  1 Si 1.61
Mg 0.8992 0.1008 0.2500  6 O 2.03-2.24
Mg 0.7389 0.2611 0.7500  4 O 2.05-2.08
Mg 0.1008 0.8992 0.7500  6 O 2.03-2.24
Mg 0.2611 0.7389 0.2500  4 O 2.05-2.08

2.
VASP calculation (PBE) on a relaxed MgSiO3 crystal.

DFT formation energy: -16.1 eV per formula unit
SG: P2_1/c, No. 14

Lattice parameters (Å, degrees): 8.9433 5.2378 9.4728 77.02 90.00 90.00
With the nearest neighbours (Å) after each atom.
Element x y z (fractional)
Mg 0.3477 0.0316 0.7490  6 O 2.03-2.21
Mg 0.4887 0.4619 0.2543  4 O 2.01-2.10
Mg 0.5113 0.5381 0.7457  4 O 2.01-2.10
Mg 0.6523 0.9684 0.2510  6 O 2.03-2.21
Mg 0.1523 0.5316 0.7490  6 O 2.03-2.21
Mg 0.9887 0.0381 0.7457  4 O 2.01-2.10
Mg 0.8477 0.4684 0.2510  6 O 2.03-2.21
Mg 0.0113 0.9619 0.2543  4 O 2.01-2.10
O 0.9992 0.3000 0.8762  1 Si 1.61
O 0.0176 0.2459 0.3653  1 Si 1.61
O 0.1959 0.6451 0.3965  2 Si 1.69
O 0.7192 0.4894 0.8941  2 Si 1.67-1.68
O 0.4824 0.7459 0.3653  1 Si 1.61
O 0.5176 0.2541 0.6347  1 Si 1.61
O 0.3404 0.7481 0.6254  1 Si 1.64
O 0.2808 0.5106 0.1059  2 Si 1.67-1.68
O 0.6596 0.2519 0.3746  1 Si 1.64
O 0.1607 0.8169 0.8670  1 Si 1.63
O 0.3041 0.1451 0.3965  2 Si 1.69
O 0.8393 0.1831 0.1330  1 Si 1.63
O 0.8404 0.7519 0.3746  1 Si 1.64
O 0.8041 0.3549 0.6035  2 Si 1.69
O 0.1596 0.2481 0.6254  1 Si 1.64
O 0.6607 0.6831 0.1330  1 Si 1.63
O 0.5008 0.8000 0.8762  1 Si 1.61
O 0.7808 0.9894 0.8941  2 Si 1.67-1.68
O 0.2192 0.0106 0.1059  2 Si 1.67-1.68
O 0.6959 0.8549 0.6035  2 Si 1.69
O 0.4992 0.2000 0.1238  1 Si 1.61
O 0.0008 0.7000 0.1238  1 Si 1.61
O 0.3393 0.3169 0.8670  1 Si 1.63
O 0.9824 0.7541 0.6347  1 Si 1.61
Si 0.3372 0.8194 0.4479  4 O 1.61-1.69
Si 0.1628 0.3194 0.4479  4 O 1.61-1.69
Si 0.3404 0.2519 0.0437  4 O 1.61-1.68
Si 0.6628 0.1806 0.5521  4 O 1.61-1.69
Si 0.1596 0.7519 0.0437  4 O 1.61-1.68
Si 0.8404 0.2481 0.9563  4 O 1.61-1.68
Si 0.6596 0.7481 0.9563  4 O 1.61-1.68
Si 0.8372 0.6806 0.5521  4 O 1.61-1.69

3.
VASP calculation (PBE) on a relaxed MgSiO3 crystal.

DFT formation energy: -16.1 eV per formula unit
SG: P2/c, No. 13

Lattice parameters (Å, degrees): 8.9409 5.2634 18.6237 89.43 90.00 90.00
With the nearest neighbours (Å) after each atom.
Element x y z (fractional)
Mg 0.5986 0.2500 0.5000  6 O 2.06-2.17
Mg 0.4014 0.7500 0.5000  6 O 2.06-2.17
Mg 0.7585 0.7500 0.5000  4 O 2.01-2.06
Mg 0.2600 0.8200 0.2494  4 O 2.01-2.08
Mg 0.9014 0.6807 0.7489  6 O 2.03-2.22
Mg 0.0986 0.3193 0.2511  6 O 2.03-2.22
Mg 0.7547 0.7500 0.0000  4 O 2.01-2.07
Mg 0.0986 0.1807 0.7489  6 O 2.03-2.22
Mg 0.3988 0.7500 0.0000  6 O 2.05-2.24
Mg 0.7400 0.3200 0.2494  4 O 2.01-2.08
Mg 0.2600 0.6800 0.7506  4 O 2.01-2.08
Mg 0.9014 0.8193 0.2511  6 O 2.03-2.22
Mg 0.2415 0.2500 0.5000  4 O 2.01-2.06
Mg 0.2453 0.2500 0.0000  4 O 2.01-2.07
Mg 0.6012 0.2500 0.0000  6 O 2.05-2.24
Mg 0.7400 0.1800 0.7506  4 O 2.01-2.08
Si 0.5887 0.8944 0.6474  4 O 1.60-1.69
Si 0.9104 0.1537 0.3988  4 O 1.62-1.68
Si 0.9104 0.3463 0.6012  4 O 1.62-1.68
Si 0.4118 0.4097 0.1492  4 O 1.62-1.69
Si 0.0896 0.6537 0.3988  4 O 1.62-1.68
Si 0.4113 0.1056 0.3525  4 O 1.60-1.69
Si 0.0896 0.8463 0.6012  4 O 1.62-1.68
Si 0.0878 0.9702 0.1038  4 O 1.60-1.68
Si 0.9122 0.4702 0.1038  4 O 1.60-1.68
Si 0.4118 0.0903 0.8508  4 O 1.62-1.69
Si 0.0878 0.5298 0.8962  4 O 1.60-1.68
Si 0.4113 0.3944 0.6474  4 O 1.60-1.69
Si 0.5882 0.9097 0.1492  4 O 1.62-1.69
Si 0.5887 0.6056 0.3525  4 O 1.60-1.69
Si 0.5882 0.5903 0.8508  4 O 1.62-1.69
Si 0.9122 0.0298 0.8962  4 O 1.60-1.68
O 0.0402 0.2361 0.9239  2 Si 1.66-1.68
O 0.9598 0.7361 0.9239  2 Si 1.66-1.68
O 0.0417 0.5554 0.5738  2 Si 1.67-1.68
O 0.9583 0.0554 0.5738  2 Si 1.67-1.68
O 0.2551 0.1384 0.3117  1 Si 1.60
O 0.7590 0.0680 0.4397  1 Si 1.62
O 0.5473 0.8887 0.8241  2 Si 1.68-1.69
O 0.2631 0.5022 0.1907  1 Si 1.62
O 0.2410 0.9320 0.5603  1 Si 1.62
O 0.0923 0.8496 0.6890  1 Si 1.64
O 0.4122 0.0937 0.4403  1 Si 1.64
O 0.4122 0.4063 0.5597  1 Si 1.64
O 0.0417 0.9446 0.4262  2 Si 1.67-1.68
O 0.4628 0.8167 0.3232  2 Si 1.67-1.69
O 0.4527 0.3887 0.8241  2 Si 1.68-1.69
O 0.7449 0.8616 0.6883  1 Si 1.60
O 0.0402 0.2639 0.0761  2 Si 1.66-1.68
O 0.7369 0.0022 0.1907  1 Si 1.62
O 0.4628 0.6833 0.6768  2 Si 1.67-1.69
O 0.5372 0.3167 0.3232  2 Si 1.67-1.69
O 0.2551 0.3616 0.6883  1 Si 1.60
O 0.5878 0.5937 0.4403  1 Si 1.64
O 0.9077 0.3496 0.6890  1 Si 1.64
O 0.2410 0.5680 0.4397  1 Si 1.62
O 0.7449 0.6384 0.3117  1 Si 1.60
O 0.9117 0.0232 0.8083  1 Si 1.64
O 0.9598 0.7639 0.0761  2 Si 1.66-1.68
O 0.4098 0.0813 0.9389  1 Si 1.64
O 0.7588 0.4318 0.0608  1 Si 1.60
O 0.5473 0.6113 0.1759  2 Si 1.68-1.69
O 0.5372 0.1833 0.6768  2 Si 1.67-1.69
O 0.2412 0.5682 0.9392  1 Si 1.60
O 0.0883 0.5232 0.8083  1 Si 1.64
O 0.4527 0.1113 0.1759  2 Si 1.68-1.69
O 0.9583 0.4446 0.4262  2 Si 1.67-1.68
O 0.9077 0.1504 0.3110  1 Si 1.64
O 0.5902 0.9187 0.0611  1 Si 1.64
O 0.0923 0.6504 0.3110  1 Si 1.64
O 0.2631 0.9978 0.8093  1 Si 1.62
O 0.7590 0.4320 0.5603  1 Si 1.62
O 0.0883 0.9768 0.1917  1 Si 1.64
O 0.7588 0.0682 0.9392  1 Si 1.60
O 0.7369 0.4978 0.8093  1 Si 1.62
O 0.9117 0.4768 0.1917  1 Si 1.64
O 0.2412 0.9318 0.0608  1 Si 1.60
O 0.4098 0.4187 0.0611  1 Si 1.64
O 0.5902 0.5813 0.9389  1 Si 1.64
O 0.5878 0.9063 0.5597  1 Si 1.64

4.
VASP calculation (PBE) on a relaxed Mg17Si20O60 crystal.

E above lowest polymorph: 127 meV/atom
DFT formation energy: -286.0 eV per formula unit
SG: C2/m, No. 12

Lattice parameters (Å, degrees): 5.3511 10.0504 23.2058 87.76 83.38 70.21
With the nearest neighbours (Å) after each atom.
Element x y z (fractional)
O 0.7878 0.5910 0.6032  3 Mg 2.03-2.07
O 0.2566 0.6524 0.0982  2 Si 1.64-1.67
O 0.1442 0.8456 0.6008  2 Si 1.63-1.64
O 0.8528 0.6175 0.4666  1 Si 1.64
O 0.5662 0.6610 0.0000  2 Si 1.64
O 0.4574 0.6228 0.2590  1 Si 1.65
O 0.9598 0.9344 0.0000  1 O 1.52
O 0.6452 0.3476 0.0982  2 Si 1.64-1.67
O 0.2104 0.6165 0.8037  1 Si 1.61
O 0.9859 0.3835 0.8037  1 Si 1.61
O 0.9223 0.6150 0.3284  1 Si 1.63
O 0.2506 0.6150 0.6716  1 Si 1.63
O 0.8326 0.8486 0.6994  2 Si 1.64
O 0.8397 0.8764 0.1419  1 Si 1.65
O 0.4931 0.8817 0.7970  1 Si 1.61
O 0.1485 0.3490 0.1028  2 Si 1.64-1.65
O 0.3187 0.8520 0.7043  2 Si 1.66-1.68
O 0.9816 0.8764 0.8581  1 Si 1.65
O 0.8515 0.6510 0.8972  2 Si 1.64-1.65
O 0.6806 0.3825 0.4666  1 Si 1.64
O 0.3548 0.6524 0.9018  2 Si 1.64-1.67
O 0.5426 0.3772 0.7410  1 Si 1.65
O 0.4454 0.8495 0.5009  2 Si 1.64
O 0.4522 0.8878 0.9296  1 Si 1.64
O 0.0777 0.3850 0.6716  1 Si 1.63
O 0.7099 0.1183 0.7970  1 Si 1.61
O 0.7488 0.6510 0.1028  2 Si 1.64-1.65
O 0.3911 0.5910 0.3968  3 Mg 2.03-2.07
O 0.5320 0.8486 0.3006  2 Si 1.64
O 0.7451 0.8456 0.3992  2 Si 1.63-1.64
O 0.1674 0.1514 0.3006  2 Si 1.64
O 0.2837 0.3772 0.2590  1 Si 1.65
O 0.1603 0.1236 0.8581  1 Si 1.65
O 0.7494 0.3850 0.3284  1 Si 1.63
O 0.0402 0.0656 0.0000  1 O 1.52
O 0.0141 0.6165 0.1963  1 Si 1.61
O 0.3818 0.8878 0.0704  1 Si 1.64
O 0.4680 0.1514 0.6994  2 Si 1.64
O 0.9770 0.1480 0.7043  2 Si 1.66-1.68
O 0.4338 0.3390 0.0000  2 Si 1.64
O 0.5478 0.1122 0.0704  1 Si 1.64
O 0.2901 0.8817 0.2030  1 Si 1.61
O 0.7163 0.6228 0.7410  1 Si 1.65
O 0.2549 0.1544 0.6008  2 Si 1.63-1.64
O 0.1472 0.3825 0.5334  1 Si 1.64
O 0.8558 0.1544 0.3992  2 Si 1.63-1.64
O 0.0184 0.1236 0.1419  1 Si 1.65
O 0.7896 0.3835 0.1963  1 Si 1.61
O 0.0537 0.1505 0.5009  2 Si 1.64
O 0.2512 0.3490 0.8972  2 Si 1.64-1.65
O 0.5069 0.1183 0.2030  1 Si 1.61
O 0.3194 0.6175 0.5334  1 Si 1.64
O 0.6182 0.1122 0.9296  1 Si 1.64
O 0.9463 0.8495 0.4991  2 Si 1.64
O 0.5546 0.1505 0.4991  2 Si 1.64
O 0.6813 0.1480 0.2957  2 Si 1.66-1.68
O 0.2122 0.4090 0.3968  3 Mg 2.03-2.07
O 0.6089 0.4090 0.6032  3 Mg 2.03-2.07
O 0.7434 0.3476 0.9018  2 Si 1.64-1.67
O 0.0230 0.8520 0.2957  2 Si 1.66-1.68
Mg 0.6624 0.5000 0.6751  6 O 2.03-2.12
Mg 0.1054 0.0000 0.7892  4 O 2.04-2.17
Mg 0.8946 0.0000 0.2108  4 O 2.04-2.17
Mg 0.5720 0.0000 0.8560  6 O 2.02-2.16
Mg 0.2655 0.5000 0.4690  6 O 2.03-2.13
Mg 0.0406 0.0000 0.9189  6 O 2.02-2.15
Mg 0.8713 0.5000 0.2573  6 O 2.05-2.14
Mg 0.4024 0.5000 0.1952  4 O 2.01-2.07
Mg 0.7345 0.5000 0.5310  6 O 2.03-2.13
Mg 0.1287 0.5000 0.7427  6 O 2.05-2.14
Mg 0.3376 0.5000 0.3249  6 O 2.03-2.12
Mg 0.5976 0.5000 0.8048  4 O 2.01-2.07
Mg 0.5000 0.0000 0.0000  6 O 2.11-2.32
Mg 0.4280 0.0000 0.1440  6 O 2.02-2.16
Mg 0.9594 0.0000 0.0811  6 O 2.02-2.15
Mg 0.8013 0.5000 0.3975  6 O 2.07-2.12
Mg 0.1987 0.5000 0.6025  6 O 2.07-2.12
Si 0.7858 0.2090 0.4668  4 O 1.64
Si 0.5139 0.2851 0.9327  4 O 1.64
Si 0.1944 0.2125 0.6674  4 O 1.63-1.66
Si 0.5534 0.7149 0.9327  4 O 1.64
Si 0.8056 0.7875 0.3326  4 O 1.63-1.66
Si 0.4861 0.7149 0.0673  4 O 1.64
Si 0.4466 0.2851 0.0673  4 O 1.64
Si 0.0442 0.2980 0.8636  4 O 1.61-1.67
Si 0.2526 0.2090 0.5332  4 O 1.64
Si 0.3990 0.2031 0.2635  4 O 1.61-1.68
Si 0.1382 0.7875 0.6674  4 O 1.63-1.66
Si 0.3375 0.7969 0.2635  4 O 1.61-1.68
Si 0.6625 0.2031 0.7365  4 O 1.61-1.68
Si 0.6010 0.7969 0.7365  4 O 1.61-1.68
Si 0.0923 0.7020 0.8636  4 O 1.61-1.67
Si 0.9558 0.7020 0.1364  4 O 1.61-1.67
Si 0.2142 0.7910 0.5332  4 O 1.64
Si 0.7474 0.7910 0.4668  4 O 1.64
Si 0.8618 0.2125 0.3326  4 O 1.63-1.66
Si 0.9077 0.2980 0.1364  4 O 1.61-1.67